Entry 1
An optimized crystal structure of Li5FeO3F. Source: the Materials Project, functional PBE with a Hubbard U. Values from VASP.

```
&SYSTEM
  ibrav = 0, nat = 20, ntyp = 4
/
ATOMIC_SPECIES
Li 6.94 Li.upf
Fe 55.84 Fe.upf
O 16.00 O.upf
F 19.00 F.upf
ATOMIC_POSITIONS angstrom
Li 0.000 5.792 4.997
Li 1.669 4.604 1.071
Li 4.972 4.604 1.071
Li 0.000 3.870 3.613
Li 1.506 2.596 5.026
Li 5.134 2.596 5.026
Li 3.320 2.077 1.994
Li 1.791 0.850 3.423
Li 4.850 0.850 3.423
Li 3.320 0.638 0.139
Fe 3.320 4.053 3.965
Fe 0.000 1.708 1.837
O 5.069 4.660 4.555
O 1.572 4.660 4.555
O 3.320 1.970 3.971
O 0.000 1.905 3.915
O 1.748 1.120 1.252
O 4.892 1.120 1.252
F 3.320 3.945 1.713
F 0.000 3.990 1.729
CELL_PARAMETERS angstrom
6.640 0.000 0.000
0.000 5.472 0.000
0.000 0.371 5.470
```

Computed properties:
space-group type = Pm (6)

=====

Entry 2
An optimized crystal structure of Li5FeO3F. Source: the Materials Project, functional PBE with a Hubbard U. Values from VASP.

```
&SYSTEM
  ibrav = 0, nat = 40, ntyp = 4
/
ATOMIC_SPECIES
Li 6.94 Li.upf
Fe 55.84 Fe.upf
O 16.00 O.upf
F 19.00 F.upf
ATOMIC_POSITIONS angstrom
Li 1.929 4.816 -7.247
Li 3.768 0.000 -2.813
Li 5.480 4.816 -1.644
Li 9.182 4.816 -4.610
Li 3.701 2.765 -5.990
Li 5.540 -2.051 -1.556
Li 7.409 2.765 -5.866
Li 3.707 2.765 -2.901
Li 9.242 2.051 -4.522
Li 5.540 2.051 -1.556
Li 7.409 6.867 -5.866
Li 9.248 2.051 -1.432
Li 5.593 2.095 -4.446
Li 1.892 2.095 -1.480
Li 11.134 2.721 -2.978
Li 7.433 2.721 -0.012
Li 7.356 2.721 -2.976
Li 3.654 2.721 -0.010
Li 7.356 6.911 -2.976
Li 9.195 2.095 1.458
Fe 7.364 0.000 0.032
Fe 7.424 0.000 -3.020
Fe 5.525 4.816 -4.402
Fe 3.723 0.000 -0.054
O 5.555 3.410 -5.928
O 7.394 -1.406 -1.494
O 5.555 6.222 -5.928
O 7.394 1.406 -1.494
O 5.536 6.245 -2.985
O 7.375 1.429 1.449
O 5.536 3.387 -2.985
O 7.375 -1.429 1.449
O 7.414 1.429 -4.437
O 3.712 1.429 -1.471
O 7.414 8.203 -4.437
O 9.253 3.387 -0.003
F 3.704 1.386 -4.445
F 5.544 -3.429 -0.011
F 9.245 3.429 -2.977
F 5.544 3.429 -0.011
CELL_PARAMETERS angstrom
5.541 4.816 1.468
5.541 -4.816 1.468
1.862 4.816 -7.400
```

=====

Last place for stability: entry 1

=====

Entry 1
An optimized crystal structure of Li4Fe7O2F14. Source: the Materials Project, functional PBE with a Hubbard U. Values from VASP.

```
&SYSTEM
  ibrav = 0, nat = 27, ntyp = 4
/
ATOMIC_SPECIES
Li 6.94 Li.upf
Fe 55.84 Fe.upf
O 16.00 O.upf
F 19.00 F.upf
ATOMIC_POSITIONS angstrom
Li -0.846 7.639 -1.179
Li 1.068 1.093 1.138
Li 3.456 12.133 -1.288
Li 5.438 5.579 1.119
Fe 2.133 11.071 -4.407
Fe 0.046 4.516 0.040
Fe 2.128 4.390 2.169
Fe 2.238 6.596 -0.128
Fe 2.268 8.801 -2.265
Fe 0.097 6.500 2.025
Fe 4.444 8.843 -0.023
O 0.251 6.513 0.026
O 0.178 4.450 2.112
F -2.146 4.315 -0.053
F 0.155 8.772 -2.443
F -0.140 2.324 -0.135
F 2.292 8.840 -0.106
F 2.142 6.775 -2.260
F 2.259 2.206 2.278
F 2.298 4.411 -0.025
F 2.310 6.570 2.150
F 2.380 10.852 -2.362
F 4.582 10.973 -0.134
F 4.250 6.717 0.078
F 4.396 8.941 -2.064
F 4.250 4.327 2.289
F 6.632 8.903 0.005
CELL_PARAMETERS angstrom
-4.345 4.360 -0.094
4.433 -0.007 4.434
4.411 8.881 -4.427
```

Computed properties:
space-group type = P1 (1)

=====

Entry 2
An optimized crystal structure of Li4Fe7O2F14. Source: the Materials Project, functional PBE with a Hubbard U. Values from VASP.

```
&SYSTEM
  ibrav = 0, nat = 27, ntyp = 4
/
ATOMIC_SPECIES
Li 6.94 Li.upf
Fe 55.84 Fe.upf
O 16.00 O.upf
F 19.00 F.upf
ATOMIC_POSITIONS angstrom
Li 2.826 1.382 0.896
Li -0.004 4.412 4.314
Li 4.928 1.303 6.376
Li 2.098 4.333 9.795
Fe -0.060 3.061 0.000
Fe 2.500 4.479 2.547
Fe 5.092 1.353 2.803
Fe 2.521 -0.203 5.345
Fe 2.462 2.858 5.345
Fe -0.168 4.363 7.887
Fe 2.424 1.236 8.143
O 3.287 4.406 4.397
O 1.637 1.310 6.293
F 1.459 4.418 0.802
F 0.981 1.599 0.961
F 3.740 0.088 1.921
F 3.812 2.889 1.748
F 1.030 2.937 3.528
F 1.002 5.879 3.524
F 4.015 1.362 4.660
F 0.909 4.354 6.030
F 3.922 -0.163 7.167
F 3.894 2.778 7.162
F 1.112 2.827 8.942
F 1.184 5.628 8.769
F 3.942 4.117 9.730
F 3.464 1.298 9.888
CELL_PARAMETERS angstrom
5.177 0.000 0.000
-0.119 6.122 0.000
-0.134 -0.407 10.690
```

Computed properties:
space-group type = P-1 (2)

=====

Entry 3
An optimized crystal structure of Li4Fe7O2F14. Source: the Materials Project, functional PBE with a Hubbard U. Values from VASP.

```
&SYSTEM
  ibrav = 0, nat = 27, ntyp = 4
/
ATOMIC_SPECIES
Li 6.94 Li.upf
Fe 55.84 Fe.upf
O 16.00 O.upf
F 19.00 F.upf
ATOMIC_POSITIONS angstrom
Li 0.164 1.968 4.532
Li 1.414 4.221 0.581
Li 1.541 -2.312 9.653
Li 2.737 -0.146 5.685
Fe -1.770 -0.654 10.093
Fe 2.117 0.480 2.568
Fe -2.255 3.324 2.471
Fe -0.069 -1.714 5.124
Fe -0.909 -1.282 7.636
Fe -0.692 0.468 2.570
Fe 0.639 1.466 7.624
O 0.314 0.488 3.831
O 1.063 0.125 1.403
F 2.774 2.924 1.231
F -0.374 1.102 6.493
F 4.187 0.446 1.317
F 4.067 -1.511 6.418
F 0.908 -1.381 6.410
F -0.404 2.907 1.245
F -1.157 3.347 3.858
F 1.934 3.380 3.827
F 3.450 -1.154 8.923
F -1.216 1.575 8.978
F 2.508 1.422 6.245
F 1.632 1.728 8.838
F 3.467 0.926 3.602
F 0.141 -0.983 8.916
CELL_PARAMETERS angstrom
6.147 0.000 0.000
-2.958 5.398 0.000
-0.268 -3.467 10.187
```

Computed properties:
space-group type = P1 (1)

=====

Entry 4
An optimized crystal structure of Li4Fe7O2F14. Source: the Materials Project, functional PBE with a Hubbard U. Values from VASP.

```
&SYSTEM
  ibrav = 0, nat = 27, ntyp = 4
/
ATOMIC_SPECIES
Li 6.94 Li.upf
Fe 55.84 Fe.upf
O 16.00 O.upf
F 19.00 F.upf
ATOMIC_POSITIONS angstrom
Li -2.150 5.063 7.596
Li -3.042 1.884 6.226
Li -0.839 0.783 3.496
Li -1.732 -2.397 2.126
Fe 0.000 0.000 0.000
Fe -4.196 5.009 4.901
Fe 2.355 1.339 1.528
Fe 1.642 -1.613 2.119
Fe -1.228 4.285 4.270
Fe 0.315 -2.343 4.820
Fe -4.295 -0.006 3.333
O 0.152 -2.729 2.861
O -4.033 5.395 6.861
F -6.124 4.027 5.402
F -6.880 1.019 6.037
F 0.430 0.277 2.065
F -4.311 2.389 7.656
F 2.998 1.647 3.685
F 2.242 -1.361 4.320
F -0.963 -0.636 4.822
F -0.104 2.434 4.282
F -2.558 0.955 2.570
F -3.118 -1.693 3.378
F -1.323 1.712 7.151
F -0.763 4.359 6.343
F -2.918 3.303 4.900
F -3.777 0.233 5.440
CELL_PARAMETERS angstrom
-1.425 -5.904 1.182
4.710 2.679 3.056
-7.166 5.892 5.484
```

Computed properties:
space-group type = P-1 (2)

=====

Last place for stability: entry 3

=====

Entry 1
An optimized crystal structure of Li8FeO4F2. Source: the Materials Project, functional PBE with a Hubbard U. Values from VASP.

```
&SYSTEM
  ibrav = 0, nat = 60, ntyp = 4
/
ATOMIC_SPECIES
Li 6.94 Li.upf
Fe 55.84 Fe.upf
O 16.00 O.upf
F 19.00 F.upf
ATOMIC_POSITIONS angstrom
Li -2.044 -6.816 2.126
Li 0.956 -8.358 -3.372
Li 0.738 -1.812 1.895
Li 3.374 -6.734 1.795
Li 1.544 -6.491 3.410
Li 4.545 -8.029 -2.089
Li -0.874 -8.114 -1.757
Li 1.766 -13.034 -1.855
Li -1.165 -5.001 3.541
Li 1.832 -6.541 -1.960
Li -3.585 -6.624 -1.628
Li 4.254 -4.922 3.209
Li 0.664 -8.306 1.995
Li 3.665 -9.843 -3.502
Li -1.756 -9.926 -3.174
Li 6.085 -8.220 1.668
Li -0.688 -5.108 -1.758
Li 1.953 -10.031 -1.853
Li 1.733 -3.487 3.413
Li 4.373 -8.407 3.315
Li 0.546 -4.816 1.893
Li 3.185 -9.737 1.797
Li -1.874 -6.439 -3.275
Li 0.765 -11.360 -3.373
Li -0.516 -6.636 0.425
Li 2.123 -11.558 0.330
Li 2.265 -1.632 0.192
Li 4.902 -6.552 0.095
Li 0.375 -3.287 -0.292
Li 3.015 -8.209 -0.390
Li -2.405 -8.293 -0.058
Li 0.236 -13.214 -0.155
Fe 5.279 -9.841 -0.192
Fe -0.143 -9.930 0.136
Fe 2.858 -11.464 -5.362
Fe 2.639 -4.920 -0.098
O -1.293 -5.134 1.536
O 1.345 -10.057 1.438
O -3.715 -6.757 -3.636
O 4.125 -5.052 1.204
O 1.152 -4.790 -1.401
O 3.794 -9.711 -1.496
O -1.627 -9.796 -1.167
O 6.216 -8.090 3.675
O -1.177 -8.347 1.481
O 1.823 -9.886 -4.019
O 1.604 -3.342 1.248
O 4.244 -8.263 1.150
O 0.676 -4.961 4.057
O 3.675 -6.500 -1.444
O -1.744 -6.583 -1.113
O 0.894 -11.506 -1.210
F -1.582 -3.347 -1.324
F 1.059 -8.270 -1.420
F -4.362 -8.352 -1.089
F 3.476 -6.648 3.749
F 1.441 -6.577 1.457
F 4.082 -11.497 1.362
F -0.978 -8.199 -3.712
F 6.865 -6.494 1.130
CELL_PARAMETERS angstrom
-0.359 -3.382 5.404
-5.202 -6.626 -4.938
8.060 -4.839 -0.427
```

=====

Entry 2
An optimized crystal structure of Li8FeO4F2. Source: the Materials Project, functional PBE with a Hubbard U. Values from VASP.

```
&SYSTEM
  ibrav = 0, nat = 60, ntyp = 4
/
ATOMIC_SPECIES
Li 6.94 Li.upf
Fe 55.84 Fe.upf
O 16.00 O.upf
F 19.00 F.upf
ATOMIC_POSITIONS angstrom
Li 0.477 -1.900 2.119
Li 2.927 -6.666 2.141
Li 2.639 -0.507 7.668
Li 5.090 -5.273 7.690
Li 1.262 -6.493 4.140
Li -1.187 -1.726 4.120
Li 3.425 -5.100 9.689
Li 0.974 -0.333 9.667
Li -1.284 -5.105 4.122
Li 4.037 -4.849 3.469
Li 0.879 -3.712 9.673
Li 6.198 -3.455 9.020
Li 3.023 -3.288 2.134
Li -2.298 -3.544 2.789
Li 5.184 -1.894 7.687
Li -0.135 -2.151 8.339
Li 1.456 -3.631 4.282
Li 6.774 -3.374 3.629
Li 3.617 -2.236 9.834
Li -1.702 -2.493 10.486
Li 0.285 -4.763 1.977
Li 5.604 -4.507 1.323
Li 2.447 -3.370 7.526
Li -2.875 -3.624 8.180
Li 2.109 -1.701 0.453
Li 4.559 -6.468 0.474
Li 1.405 -5.332 6.680
Li -1.046 -0.564 6.661
Li 2.498 -1.669 5.126
Li 4.947 -6.435 5.149
Li 1.792 -5.298 11.355
Li -0.657 -0.532 11.334
Fe 1.452 -2.234 11.787
Fe 4.611 -3.372 5.579
Fe 7.769 -4.510 -0.632
Fe -0.710 -3.629 6.233
O -1.546 -5.236 2.169
O 3.774 -4.981 1.515
O 0.621 -3.845 7.719
O 5.941 -3.588 7.068
O 3.281 -3.156 4.088
O -2.039 -3.411 4.745
O 5.448 -1.763 9.639
O 0.128 -2.019 10.293
O 1.333 -3.390 1.213
O 3.782 -8.157 1.235
O 3.491 -1.994 6.770
O -1.828 -2.250 7.425
O 0.410 -5.006 5.038
O 5.731 -4.749 4.385
O 2.569 -3.610 10.596
O 0.119 1.157 10.574
F 0.734 -1.784 4.089
F 3.185 -6.550 4.115
F 2.898 -0.400 9.633
F -2.420 -0.654 10.283
F 1.002 -6.601 2.179
F 6.320 -6.343 1.522
F 3.166 -5.217 7.713
F 0.717 -0.450 7.698
CELL_PARAMETERS angstrom
-2.870 -5.023 0.675
7.770 -4.511 -0.633
-0.998 2.533 11.767
```

=====

Entry 3
An optimized crystal structure of Li8FeO4F2. Source: the Materials Project, functional PBE with a Hubbard U. Values from VASP.

```
&SYSTEM
  ibrav = 0, nat = 30, ntyp = 4
/
ATOMIC_SPECIES
Li 6.94 Li.upf
Fe 55.84 Fe.upf
O 16.00 O.upf
F 19.00 F.upf
ATOMIC_POSITIONS angstrom
Li 3.972 0.000 3.011
Li 3.299 0.000 6.793
Li 2.500 0.000 1.345
Li 1.828 0.000 8.459
Li 2.877 1.598 9.838
Li 2.922 1.598 4.390
Li 0.903 1.450 2.871
Li 1.126 1.825 6.949
Li 4.673 -1.825 1.501
Li 4.896 1.450 8.319
Li 4.896 -1.450 8.319
Li 4.673 1.825 1.501
Li 2.922 -1.598 4.390
Li 2.877 -1.598 9.838
Li 1.126 -1.825 6.949
Li 0.903 -1.450 2.871
Fe 5.547 0.000 5.563
Fe 0.252 0.000 0.115
O 3.780 0.000 4.920
O 2.020 0.000 10.367
O 2.913 1.649 7.819
O 0.151 0.000 7.456
O 5.648 0.000 2.008
O 2.886 1.649 2.372
O 2.886 -1.649 2.372
O 2.913 -1.649 7.819
F 1.024 1.607 4.881
F 4.775 1.607 10.329
F 4.775 -1.607 10.329
F 1.024 -1.607 4.881
CELL_PARAMETERS angstrom
2.900 -4.849 0.000
2.900 4.849 0.000
0.000 0.000 10.896
```

Computed properties:
space-group type = Cmc2_1 (36)

=====

Last place for stability: entry 3